Entry 1:
Here is an optimized crystal structure of NbCoSi from the Materials Project. Energies are from r2SCAN.

a b c (Å): 3.642 6.224 7.021
angles (deg): 90.00 90.00 90.00
Positions (direct):
Nb: 0.750 0.480 0.680
Nb: 0.750 0.980 0.820
Nb: 0.250 0.520 0.320
Nb: 0.250 0.020 0.180
Co: 0.750 0.360 0.063
Co: 0.750 0.860 0.437
Co: 0.250 0.640 0.937
Co: 0.250 0.140 0.563
Si: 0.750 0.724 0.117
Si: 0.750 0.224 0.383
Si: 0.250 0.276 0.883
Si: 0.250 0.776 0.617

Total magnetic moment, Bohr magnetons per cell: 0.0
Crystal system: orthorhombic
Density, g cm⁻³: 7.508
Formation energy from the elements, eV/atom: -0.6796

***

Entry 2:
Here is an optimized crystal structure of NdCo2 from the Materials Project. Energies are from r2SCAN.

a b c (Å): 5.165 5.166 5.166
angles (deg): 90.12 119.93 119.93
Positions (direct):
Nd: 0.750 0.875 0.125
Nd: 0.250 0.125 0.875
Co: 0.000 0.500 0.500
Co: 0.000 0.500 0.000
Co: 0.500 0.000 0.500
Co: 0.500 0.500 0.500

Total magnetic moment, Bohr magnetons per cell: 3.8
Crystal system: tetragonal
Density, g cm⁻³: 8.921
Formation energy from the elements, eV/atom: 0.0584

***

Entry 3:
Here is an optimized crystal structure of Nd5Co2 from the Materials Project. Energies are from r2SCAN.

a b c (Å): 6.551 7.004 8.925
angles (deg): 94.80 111.53 90.00
Positions (direct):
Nd: 0.988 0.909 0.189
Nd: 0.799 0.591 0.811
Nd: 0.012 0.091 0.811
Nd: 0.201 0.409 0.189
Nd: 0.646 0.825 0.427
Nd: 0.220 0.675 0.573
Nd: 0.354 0.175 0.573
Nd: 0.780 0.325 0.427
Nd: 0.433 0.750 0.000
Nd: 0.567 0.250 0.000
Co: 0.827 0.573 0.222
Co: 0.605 0.927 0.778
Co: 0.173 0.427 0.778
Co: 0.395 0.073 0.222

Total magnetic moment, Bohr magnetons per cell: 0.0
Crystal system: monoclinic
Density, g cm⁻³: 7.346
Formation energy from the elements, eV/atom: 0.0209

***

Entry 4:
Here is an optimized crystal structure of Nd2Co17 from the Materials Project. Energies are from r2SCAN.

a b c (Å): 6.301 6.301 6.300
angles (deg): 83.04 83.05 83.05
Positions (direct):
Nd: 0.344 0.344 0.344
Nd: 0.656 0.656 0.656
Co: 0.094 0.094 0.094
Co: 0.906 0.906 0.906
Co: 0.000 0.000 0.500
Co: 0.500 0.000 0.000
Co: 0.000 0.500 0.000
Co: 0.285 0.715 0.000
Co: 0.000 0.285 0.715
Co: 0.715 0.000 0.285
Co: 0.715 0.285 0.000
Co: 0.000 0.715 0.285
Co: 0.285 0.000 0.715
Co: 0.661 0.153 0.661
Co: 0.661 0.661 0.153
Co: 0.153 0.661 0.661
Co: 0.847 0.339 0.339
Co: 0.339 0.847 0.339
Co: 0.339 0.339 0.847

Total magnetic moment, Bohr magnetons per cell: 28.4
Crystal system: trigonal
Density, g cm⁻³: 8.744
Formation energy from the elements, eV/atom: -0.0196

***

Entry 5:
Here is an optimized crystal structure of NdCoO3 from the Materials Project. Energies are from r2SCAN.

a b c (Å): 5.354 5.360 7.573
angles (deg): 90.00 90.00 90.00
Positions (direct):
Nd: 0.008 0.962 0.750
Nd: 0.492 0.462 0.750
Nd: 0.508 0.538 0.250
Nd: 0.992 0.038 0.250
Co: 0.500 0.000 0.500
Co: 0.000 0.500 0.000
Co: 0.000 0.500 0.500
Co: 0.500 0.000 0.000
O: 0.715 0.284 0.462
O: 0.785 0.784 0.038
O: 0.215 0.216 0.538
O: 0.285 0.716 0.962
O: 0.285 0.716 0.538
O: 0.215 0.216 0.962
O: 0.785 0.784 0.462
O: 0.715 0.284 0.038
O: 0.071 0.490 0.250
O: 0.429 0.990 0.250
O: 0.571 0.010 0.750
O: 0.929 0.510 0.750

Total magnetic moment, Bohr magnetons per cell: 0.0
Crystal system: orthorhombic
Density, g cm⁻³: 7.676
Formation energy from the elements, eV/atom: -2.5478

***

Entry 6:
Here is an optimized crystal structure of NdCo5P3 from the Materials Project. Energies are from r2SCAN.

a b c (Å): 3.695 10.316 11.757
angles (deg): 90.00 90.00 90.00
Positions (direct):
Nd: 0.250 0.583 0.700
Nd: 0.250 0.917 0.200
Nd: 0.750 0.417 0.300
Nd: 0.750 0.083 0.800
Co: 0.250 0.708 0.988
Co: 0.250 0.792 0.488
Co: 0.750 0.292 0.012
Co: 0.750 0.208 0.512
Co: 0.250 0.404 0.489
Co: 0.250 0.096 0.989
Co: 0.750 0.596 0.511
Co: 0.750 0.904 0.011
Co: 0.250 0.221 0.174
Co: 0.250 0.279 0.674
Co: 0.750 0.779 0.826
Co: 0.750 0.721 0.326
Co: 0.250 0.883 0.697
Co: 0.250 0.617 0.197
Co: 0.750 0.117 0.303
Co: 0.750 0.383 0.803
Co: 0.250 0.468 0.934
Co: 0.250 0.032 0.434
Co: 0.750 0.532 0.066
Co: 0.750 0.968 0.566
P: 0.250 0.419 0.111
P: 0.250 0.081 0.611
P: 0.750 0.581 0.889
P: 0.750 0.919 0.389
P: 0.250 0.276 0.866
P: 0.250 0.224 0.366
P: 0.750 0.724 0.134
P: 0.750 0.776 0.634
P: 0.250 0.606 0.394
P: 0.250 0.894 0.894
P: 0.750 0.394 0.606
P: 0.750 0.106 0.106

Total magnetic moment, Bohr magnetons per cell: 8.8
Crystal system: orthorhombic
Density, g cm⁻³: 7.883
Formation energy from the elements, eV/atom: -0.7091

***

Entry 7:
Here is an optimized crystal structure of Nd12Co6Pb from the Materials Project. Energies are from r2SCAN.

a b c (Å): 8.697 8.697 8.697
angles (deg): 109.27 109.49 109.65
Positions (direct):
Nd: 0.808 0.693 0.501
Nd: 0.192 0.307 0.499
Nd: 0.192 0.693 0.885
Nd: 0.808 0.307 0.115
Nd: 0.693 0.499 0.807
Nd: 0.307 0.501 0.193
Nd: 0.693 0.886 0.193
Nd: 0.307 0.114 0.807
Nd: 0.502 0.808 0.694
Nd: 0.498 0.192 0.306
Nd: 0.114 0.808 0.306
Nd: 0.886 0.192 0.694
Co: 0.891 0.391 0.500
Co: 0.109 0.609 0.500
Co: 0.391 0.500 0.891
Co: 0.609 0.500 0.109
Co: 0.500 0.891 0.391
Co: 0.500 0.109 0.609
Pb: 0.000 0.000 0.000

Total magnetic moment, Bohr magnetons per cell: 0.5
Crystal system: orthorhombic
Density, g cm⁻³: 7.514
Formation energy from the elements, eV/atom: -0.1009

***

Entry 8:
Here is an optimized crystal structure of NdCo9Si4 from the Materials Project. Energies are from r2SCAN.

a b c (Å): 7.939 7.939 7.941
angles (deg): 122.08 122.08 86.45
Positions (direct):
Nd: 0.750 0.750 0.000
Nd: 0.250 0.250 0.000
Co: 0.692 0.448 0.500
Co: 0.448 0.948 0.756
Co: 0.192 0.692 0.244
Co: 0.552 0.052 0.244
Co: 0.948 0.192 0.500
Co: 0.197 0.932 0.129
Co: 0.803 0.068 0.871
Co: 0.432 0.697 0.129
Co: 0.568 0.303 0.871
Co: 0.697 0.568 0.264
Co: 0.303 0.432 0.736
Co: 0.932 0.803 0.736
Co: 0.308 0.552 0.500
Co: 0.808 0.308 0.756
Co: 0.000 0.500 0.500
Co: 0.500 0.000 0.500
Co: 0.068 0.197 0.264
Co: 0.052 0.808 0.500
Si: 0.292 0.792 0.835
Si: 0.043 0.543 0.835
Si: 0.543 0.708 0.500
Si: 0.792 0.957 0.500
Si: 0.457 0.292 0.500
Si: 0.957 0.457 0.165
Si: 0.708 0.208 0.165
Si: 0.208 0.043 0.500

Total magnetic moment, Bohr magnetons per cell: 20.0
Crystal system: tetragonal
Density, g cm⁻³: 7.640
Formation energy from the elements, eV/atom: -0.4026